No. 1
{"formula": "Na2NiPCO7", "functional": "PBE+U", "state": "relaxed", "e_tot_ev_per_atom": -6.268, "e_form_mev_per_atom": -2072, "relative_energy_ev_per_atom": 0.0153, "lattice": [[6.523, 0.000, 0.000], [0.000, 10.250, 0.000], [0.000, 5.023, 9.089]], "species": ["Na", "Na", "Na", "Na", "Na", "Na", "Na", "Na", "Ni", "Ni", "Ni", "Ni", "P", "P", "P", "P", "C", "C", "C", "C", "O", "O", "O", "O", "O", "O", "O", "O", "O", "O", "O", "O", "O", "O", "O", "O", "O", "O", "O", "O", "O", "O", "O", "O", "O", "O", "O", "O"], "frac_coords": [[0.732, 0.736, 0.258], [0.266, 0.736, 0.257], [0.231, 0.268, 0.238], [0.003, 0.089, 0.062], [0.997, 0.089, 0.562], [0.268, 0.736, 0.758], [0.734, 0.736, 0.757], [0.769, 0.268, 0.738], [0.000, 0.653, 0.062], [0.498, 0.345, 0.438], [0.000, 0.653, 0.562], [0.502, 0.345, 0.938], [0.502, 0.574, 0.073], [0.999, 0.422, 0.431], [0.498, 0.574, 0.573], [0.001, 0.422, 0.931], [0.502, 0.068, 0.109], [0.498, 0.068, 0.609], [0.004, 0.929, 0.391], [0.996, 0.929, 0.891], [0.000, 0.868, 0.034], [0.313, 0.673, 0.058], [0.690, 0.673, 0.059], [0.996, 0.570, 0.284], [0.498, 0.540, 0.442], [0.001, 0.463, 0.059], [0.498, 0.428, 0.220], [0.186, 0.324, 0.441], [0.810, 0.321, 0.458], [0.495, 0.168, 0.153], [0.505, 0.168, 0.653], [0.489, 0.127, 0.466], [0.013, 0.069, 0.309], [0.987, 0.069, 0.809], [0.500, 0.930, 0.196], [0.500, 0.930, 0.696], [0.000, 0.868, 0.534], [0.000, 0.836, 0.339], [0.000, 0.836, 0.839], [0.310, 0.673, 0.559], [0.687, 0.673, 0.558], [0.004, 0.570, 0.784], [0.502, 0.540, 0.942], [0.999, 0.463, 0.559], [0.502, 0.428, 0.720], [0.814, 0.324, 0.941], [0.190, 0.321, 0.958], [0.511, 0.127, 0.966]]}

---

No. 2
{"formula": "SrLaTaNiO6", "functional": "PBE+U", "state": "relaxed", "e_tot_ev_per_atom": -7.853, "e_form_mev_per_atom": -3124, "relative_energy_ev_per_atom": 0.0000, "lattice": [[2.833, 14.821, 0.000], [-2.833, 14.821, 0.000], [0.000, 2.162, 7.716]], "species": ["Sr", "Sr", "Sr", "Sr", "Sr", "La", "La", "La", "La", "La", "Ta", "Ta", "Ta", "Ta", "Ta", "Ni", "Ni", "Ni", "Ni", "Ni", "O", "O", "O", "O", "O", "O", "O", "O", "O", "O", "O", "O", "O", "O", "O", "O", "O", "O", "O", "O", "O", "O", "O", "O", "O", "O", "O", "O", "O", "O"], "frac_coords": [[0.502, 0.502, 0.257], [0.899, 0.899, 0.841], [0.304, 0.304, 0.449], [0.895, 0.895, 0.362], [0.503, 0.503, 0.741], [0.698, 0.698, 0.045], [0.299, 0.299, 0.945], [0.106, 0.106, 0.657], [0.691, 0.691, 0.576], [0.100, 0.100, 0.148], [0.000, 0.000, 0.003], [0.000, 0.000, 0.500], [0.398, 0.398, 0.105], [0.799, 0.799, 0.700], [0.202, 0.202, 0.303], [0.401, 0.401, 0.600], [0.799, 0.799, 0.198], [0.200, 0.200, 0.802], [0.600, 0.600, 0.400], [0.600, 0.600, 0.900], [0.707, 0.199, 0.580], [0.984, 0.984, 0.262], [0.016, 0.016, 0.735], [0.199, 0.707, 0.580], [0.200, 0.702, 0.009], [0.105, 0.597, 0.183], [0.385, 0.385, 0.871], [0.414, 0.414, 0.327], [0.702, 0.200, 0.009], [0.597, 0.105, 0.183], [0.600, 0.095, 0.621], [0.504, 0.996, 0.804], [0.781, 0.781, 0.478], [0.814, 0.814, 0.931], [0.095, 0.600, 0.621], [0.996, 0.504, 0.804], [0.909, 0.397, 0.398], [0.005, 0.493, 0.192], [0.181, 0.181, 0.079], [0.218, 0.218, 0.523], [0.493, 0.005, 0.192], [0.397, 0.909, 0.398], [0.395, 0.906, 0.800], [0.286, 0.811, 0.995], [0.587, 0.587, 0.662], [0.619, 0.619, 0.133], [0.906, 0.395, 0.800], [0.811, 0.286, 0.995], [0.815, 0.285, 0.402], [0.285, 0.815, 0.402]]}

---

No. 3
{"formula": "Li2Si3Ni2O9", "functional": "PBE+U", "state": "relaxed", "e_tot_ev_per_atom": -6.611, "e_form_mev_per_atom": -2554, "relative_energy_ev_per_atom": 0.0000, "lattice": [[-5.789, -4.019, 7.067], [5.899, -5.844, -5.537], [8.947, 1.355, 8.099]], "species": ["Li", "Li", "Li", "Li", "Li", "Li", "Li", "Li", "Li", "Li", "Li", "Li", "Si", "Si", "Si", "Si", "Si", "Si", "Si", "Si", "Si", "Si", "Si", "Si", "Si", "Si", "Si", "Si", "Si", "Si", "Ni", "Ni", "Ni", "Ni", "Ni", "Ni", "Ni", "Ni", "Ni", "Ni", "Ni", "Ni", "O", "O", "O", "O", "O", "O", "O", "O", "O", "O", "O", "O", "O", "O", "O", "O", "O", "O", "O", "O", "O", "O", "O", "O", "O", "O", "O", "O", "O", "O", "O", "O", "O", "O", "O", "O", "O", "O", "O", "O", "O", "O", "O", "O", "O", "O", "O", "O", "O", "O", "O", "O", "O", "O"], "frac_coords": [[0.145, 0.987, 0.174], [0.200, 0.764, 0.017], [0.236, 0.436, 0.683], [0.013, 0.158, 0.841], [0.564, 0.800, 0.350], [0.175, 0.017, 0.671], [0.333, 0.281, 0.789], [0.842, 0.855, 0.507], [0.842, 0.825, 0.004], [0.719, 0.053, 0.455], [0.947, 0.667, 0.122], [0.983, 0.158, 0.338], [0.129, 0.952, 0.920], [0.298, 0.822, 0.765], [0.192, 0.507, 0.892], [0.315, 0.808, 0.225], [0.048, 0.176, 0.586], [0.178, 0.475, 0.432], [0.185, 0.016, 0.428], [0.493, 0.685, 0.559], [0.525, 0.702, 0.099], [0.617, 0.498, 0.444], [0.482, 0.201, 0.578], [0.824, 0.871, 0.253], [0.830, 0.815, 0.762], [0.719, 0.518, 0.911], [0.502, 0.119, 0.111], [0.881, 0.383, 0.778], [0.799, 0.281, 0.245], [0.984, 0.170, 0.095], [0.331, 0.843, 0.492], [0.157, 0.488, 0.159], [0.512, 0.669, 0.825], [0.333, 0.325, 0.243], [0.370, 0.333, 0.003], [0.511, 0.160, 0.842], [0.649, 0.489, 0.175], [0.991, 0.667, 0.576], [0.963, 0.630, 0.337], [0.667, 0.037, 0.670], [0.675, 0.009, 0.909], [0.840, 0.351, 0.508], [0.107, 0.826, 0.434], [0.066, 0.872, 0.038], [0.196, 0.849, 0.861], [0.130, 0.680, 0.218], [0.048, 0.527, 0.446], [0.043, 0.384, 0.816], [0.219, 0.803, 0.644], [0.142, 0.550, 0.005], [0.341, 0.957, 0.149], [0.288, 0.662, 0.811], [0.151, 0.347, 0.527], [0.408, 0.858, 0.338], [0.128, 0.195, 0.704], [0.197, 0.416, 0.311], [0.479, 0.952, 0.779], [0.374, 0.712, 0.144], [0.319, 0.450, 0.885], [0.174, 0.281, 0.100], [0.080, 0.053, 0.515], [0.338, 0.626, 0.478], [0.205, 0.104, 0.314], [0.449, 0.592, 0.672], [0.550, 0.870, 0.552], [0.584, 0.781, 0.978], [0.257, 0.132, 0.912], [0.473, 0.521, 0.113], [0.653, 0.804, 0.194], [0.616, 0.659, 0.482], [0.351, 0.065, 0.493], [0.719, 0.893, 0.767], [0.541, 0.448, 0.323], [0.404, 0.168, 0.699], [0.805, 0.934, 0.371], [0.506, 0.365, 0.533], [0.462, 0.259, 0.128], [0.549, 0.366, 0.898], [0.713, 0.649, 0.826], [0.552, 0.093, 0.989], [0.764, 0.596, 0.032], [0.899, 0.795, 0.647], [0.875, 0.743, 0.245], [0.634, 0.183, 0.565], [0.797, 0.538, 0.461], [0.974, 0.920, 0.848], [0.635, 0.141, 0.200], [0.859, 0.494, 0.866], [0.817, 0.450, 0.232], [0.741, 0.203, 0.794], [0.832, 0.236, 0.366], [0.907, 0.459, 0.656], [0.868, 0.125, 0.578], [0.935, 0.287, 0.160], [0.896, 0.101, 0.980], [0.946, 0.026, 0.181]]}

---

No. 4
{"formula": "Ba2Mn2Se2OF2", "functional": "PBE+U", "state": "relaxed", "e_tot_ev_per_atom": -6.106, "e_form_mev_per_atom": -2442, "lattice": [[-1.737, -3.948, 0.255], [1.059, -0.196, 4.184], [-8.492, 6.114, 0.204]], "species": ["Ba", "Ba", "Mn", "Mn", "Se", "Se", "O", "F", "F"], "frac_coords": [[0.329, 0.329, 0.657], [0.671, 0.671, 0.343], [0.500, 0.000, 0.000], [0.000, 0.500, 0.000], [0.906, 0.906, 0.813], [0.094, 0.094, 0.187], [0.500, 0.500, 0.000], [0.750, 0.250, 0.500], [0.250, 0.750, 0.500]]}

---

Copy entry 1 word for word.
{"formula": "Na2NiPCO7", "functional": "PBE+U", "state": "relaxed", "e_tot_ev_per_atom": -6.268, "e_form_mev_per_atom": -2072, "relative_energy_ev_per_atom": 0.0153, "lattice": [[6.523, 0.000, 0.000], [0.000, 10.250, 0.000], [0.000, 5.023, 9.089]], "species": ["Na", "Na", "Na", "Na", "Na", "Na", "Na", "Na", "Ni", "Ni", "Ni", "Ni", "P", "P", "P", "P", "C", "C", "C", "C", "O", "O", "O", "O", "O", "O", "O", "O", "O", "O", "O", "O", "O", "O", "O", "O", "O", "O", "O", "O", "O", "O", "O", "O", "O", "O", "O", "O"], "frac_coords": [[0.732, 0.736, 0.258], [0.266, 0.736, 0.257], [0.231, 0.268, 0.238], [0.003, 0.089, 0.062], [0.997, 0.089, 0.562], [0.268, 0.736, 0.758], [0.734, 0.736, 0.757], [0.769, 0.268, 0.738], [0.000, 0.653, 0.062], [0.498, 0.345, 0.438], [0.000, 0.653, 0.562], [0.502, 0.345, 0.938], [0.502, 0.574, 0.073], [0.999, 0.422, 0.431], [0.498, 0.574, 0.573], [0.001, 0.422, 0.931], [0.502, 0.068, 0.109], [0.498, 0.068, 0.609], [0.004, 0.929, 0.391], [0.996, 0.929, 0.891], [0.000, 0.868, 0.034], [0.313, 0.673, 0.058], [0.690, 0.673, 0.059], [0.996, 0.570, 0.284], [0.498, 0.540, 0.442], [0.001, 0.463, 0.059], [0.498, 0.428, 0.220], [0.186, 0.324, 0.441], [0.810, 0.321, 0.458], [0.495, 0.168, 0.153], [0.505, 0.168, 0.653], [0.489, 0.127, 0.466], [0.013, 0.069, 0.309], [0.987, 0.069, 0.809], [0.500, 0.930, 0.196], [0.500, 0.930, 0.696], [0.000, 0.868, 0.534], [0.000, 0.836, 0.339], [0.000, 0.836, 0.839], [0.310, 0.673, 0.559], [0.687, 0.673, 0.558], [0.004, 0.570, 0.784], [0.502, 0.540, 0.942], [0.999, 0.463, 0.559], [0.502, 0.428, 0.720], [0.814, 0.324, 0.941], [0.190, 0.321, 0.958], [0.511, 0.127, 0.966]]}